Compound: Na14Hf6Mg2Si9S3O48
Source: the Materials Project database
Functional: GGA-PBE
Structure: relaxed

POSCAR file:
```
Na14Hf6Mg2Si9S3O48
1.0
9.174 0.000 0.000
0.026 15.843 0.000
0.033 0.080 22.661
Na Hf Mg Si S O
42 18 6 27 9 144
direct
0.000 0.000 0.000
0.000 0.036 0.331
0.008 0.346 0.667
0.115 0.846 0.161
0.122 0.501 0.504
0.128 0.176 0.827
0.129 0.200 0.162
0.133 0.535 0.825
0.143 0.883 0.501
0.175 0.516 0.158
0.185 0.180 0.496
0.304 0.362 0.581
0.308 0.685 0.749
0.310 0.025 0.421
0.317 0.016 0.914
0.318 0.358 0.078
0.320 0.677 0.251
0.433 0.517 0.671
0.440 0.850 0.330
0.453 0.182 0.997
0.487 0.875 0.994
0.489 0.202 0.672
0.493 0.843 0.659
0.511 0.505 0.998
0.610 0.005 0.505
0.628 0.344 0.156
0.630 0.700 0.166
0.632 0.377 0.498
0.665 0.680 0.503
0.673 0.356 0.830
0.683 0.020 0.160
0.801 0.180 0.752
0.803 0.857 0.584
0.804 0.516 0.415
0.804 0.524 0.916
0.816 0.860 0.075
0.818 0.195 0.243
0.939 0.679 0.992
0.947 0.016 0.661
0.982 0.382 0.996
0.992 0.697 0.666
0.995 0.673 0.327
0.298 0.029 0.264
0.298 0.354 0.433
0.299 0.356 0.226
0.309 0.685 0.895
0.317 0.017 0.766
0.317 0.359 0.926
0.317 0.683 0.092
0.322 0.684 0.601
0.327 0.684 0.389
0.793 0.185 0.889
0.800 0.185 0.099
0.804 0.184 0.593
0.804 0.517 0.266
0.814 0.853 0.429
0.816 0.192 0.397
0.816 0.530 0.768
0.821 0.856 0.726
0.823 0.854 0.932
0.302 0.360 0.736
0.307 0.021 0.061
0.316 0.014 0.558
0.804 0.514 0.056
0.811 0.521 0.563
0.822 0.853 0.231
0.011 0.017 0.159
0.016 0.352 0.827
0.105 0.516 0.659
0.108 0.853 0.327
0.158 0.208 0.329
0.160 0.501 0.329
0.160 0.537 0.995
0.166 0.876 0.658
0.169 0.836 0.997
0.451 0.208 0.824
0.454 0.166 0.160
0.458 0.833 0.493
0.460 0.505 0.825
0.461 0.539 0.497
0.515 0.188 0.494
0.518 0.523 0.160
0.603 0.023 0.660
0.608 0.688 0.995
0.659 0.039 0.997
0.661 0.333 0.994
0.669 0.667 0.659
0.670 0.709 0.324
0.955 0.337 0.499
0.955 0.376 0.159
0.959 0.038 0.494
0.961 0.001 0.829
0.963 0.709 0.830
0.020 0.688 0.494
0.101 0.188 0.995
0.165 0.167 0.660
0.457 0.874 0.163
0.520 0.854 0.829
0.602 0.352 0.329
0.664 0.000 0.327
0.665 0.373 0.661
0.956 0.667 0.161
0.001 0.175 0.657
0.001 0.873 0.384
0.005 0.502 0.601
0.009 0.177 0.942
0.009 0.199 0.049
0.011 0.837 0.269
0.109 0.702 0.547
0.110 0.331 0.769
0.112 0.679 0.441
0.115 0.000 0.103
0.118 0.033 0.219
0.119 0.677 0.159
0.121 0.370 0.885
0.133 0.033 0.498
0.134 0.342 0.492
0.134 0.363 0.168
0.138 0.013 0.821
0.139 0.698 0.833
0.180 0.934 0.600
0.190 0.113 0.714
0.192 0.776 0.057
0.193 0.265 0.991
0.194 0.112 0.000
0.195 0.444 0.387
0.197 0.263 0.271
0.197 0.598 0.938
0.202 0.606 0.655
0.208 0.769 0.337
0.215 0.434 0.665
0.219 0.936 0.321
0.224 0.126 0.607
0.224 0.597 0.335
0.227 0.252 0.388
0.231 0.112 0.324
0.232 0.251 0.666
0.233 0.457 0.271
0.237 0.781 0.653
0.239 0.443 0.991
0.239 0.930 0.000
0.242 0.582 0.053
0.244 0.786 0.942
0.245 0.922 0.715
0.372 0.115 0.821
0.378 0.129 0.102
0.378 0.251 0.884
0.379 0.582 0.554
0.383 0.597 0.835
0.384 0.465 0.768
0.385 0.786 0.436
0.385 0.789 0.159
0.386 0.446 0.489
0.387 0.927 0.496
0.391 0.262 0.171
0.394 0.915 0.217
0.408 0.609 0.159
0.411 0.107 0.500
0.413 0.439 0.171
0.421 0.276 0.488
0.423 0.602 0.441
0.426 0.779 0.833
0.427 0.931 0.824
0.429 0.102 0.217
0.429 0.265 0.766
0.430 0.773 0.551
0.430 0.926 0.110
0.431 0.444 0.884
0.480 0.336 0.990
0.484 0.031 0.002
0.487 0.676 0.657
0.491 0.701 0.333
0.493 0.674 0.941
0.494 0.040 0.716
0.503 0.004 0.323
0.504 0.706 0.055
0.506 0.360 0.665
0.511 0.007 0.601
0.511 0.363 0.382
0.512 0.343 0.275
0.611 0.845 0.775
0.611 0.865 0.882
0.612 0.507 0.102
0.617 0.863 0.168
0.620 0.205 0.552
0.626 0.541 0.217
0.629 0.173 0.439
0.629 0.201 0.833
0.635 0.175 0.158
0.637 0.531 0.501
0.639 0.505 0.822
0.639 0.840 0.487
0.690 0.768 0.267
0.693 0.274 0.053
0.693 0.424 0.607
0.694 0.947 0.381
0.696 0.429 0.324
0.696 0.603 0.715
0.697 0.277 0.333
0.699 0.102 0.942
0.701 0.776 0.989
0.708 0.939 0.669
0.712 0.109 0.658
0.712 0.607 0.001
0.729 0.412 0.714
0.729 0.961 0.274
0.731 0.085 0.334
0.732 0.426 0.996
0.732 0.763 0.670
0.735 0.285 0.938
0.736 0.946 0.990
0.739 0.287 0.657
0.741 0.081 0.056
0.742 0.631 0.600
0.742 0.755 0.383
0.750 0.616 0.321
0.876 0.421 0.216
0.879 0.083 0.552
0.879 0.945 0.489
0.881 0.287 0.442
0.882 0.430 0.500
0.885 0.280 0.155
0.888 0.752 0.168
0.888 0.958 0.770
0.889 0.753 0.888
0.893 0.614 0.825
0.896 0.627 0.109
0.897 0.098 0.835
0.900 0.936 0.168
0.911 0.269 0.838
0.912 0.436 0.821
0.917 0.106 0.157
0.921 0.098 0.436
0.922 0.764 0.771
0.925 0.614 0.498
0.926 0.767 0.489
0.926 0.944 0.887
0.929 0.275 0.556
0.930 0.614 0.216
0.940 0.435 0.101
0.980 0.192 0.332
0.982 0.513 0.321
0.986 0.533 0.000
0.987 0.863 0.668
0.988 0.841 0.992
0.999 0.532 0.717
```

Computed properties:
total moment = 0.0 Bohr magnetons per cell
energy with MP2020 corrections = -7.582 eV per atom
density = 3.9 Mg/m³
formation energy from the elements = -241.5 eV/f.u.